This record from the Materials Project database describes crystalline ThCu2Sn2 at its relaxed geometry. The functional is PBE.

The structure in CIF format:
```
data_ThCu2Sn2
_space_group_name_H-M_alt 'P 1'
_space_group_IT_number 1
_space_group_name_Hall 'P 1'
_cell_length_a 4.475
_cell_length_b 4.475
_cell_length_c 10.543
_cell_angle_alpha 90.00
_cell_angle_beta 90.00
_cell_angle_gamma 90.00
loop_
_atom_site_label
_atom_site_type_symbol
_atom_site_fract_x
_atom_site_fract_y
_atom_site_fract_z
Cu1 Cu 0.000 0.000 0.000
Sn1 Sn 0.500 0.000 0.128
Sn2 Sn 0.000 0.000 0.500
Th1 Th 0.000 0.500 0.239
Cu2 Cu 0.000 0.500 0.635
Sn3 Sn 0.500 0.500 0.500
Cu3 Cu 0.500 0.000 0.365
Sn4 Sn 0.000 0.500 0.872
Cu4 Cu 0.500 0.500 0.000
Th2 Th 0.500 0.000 0.761
```

Output
space group: P4/nmm (129)
energy relative to the elements: -0.346 eV per atom